Entry 1:
! K2Zn3O4 PBE relaxed; values from VASP
&SYSTEM
  ibrav = 0, nat = 18, ntyp = 3
/
ATOMIC_SPECIES
K 39.10 K.upf
Zn 65.41 Zn.upf
O 16.00 O.upf
ATOMIC_POSITIONS crystal
K 0.9951 0.2434 0.0119
Zn 0.1913 0.4264 0.5849
O 0.3811 0.7355 0.9552
O 0.7355 0.3811 0.4552
Zn 0.4807 0.5193 0.2500
O 0.2645 0.6189 0.5448
Zn 0.5736 0.8087 0.9151
O 0.6189 0.2645 0.0448
K 0.7566 0.0049 0.4881
K 0.2434 0.9951 0.5119
Zn 0.4264 0.1913 0.0849
O 0.6133 0.8583 0.2137
K 0.0049 0.7566 0.9881
Zn 0.5193 0.4807 0.7500
O 0.8583 0.6133 0.7137
O 0.1417 0.3867 0.2863
Zn 0.8087 0.5736 0.4151
O 0.3867 0.1417 0.7863
CELL_PARAMETERS angstrom
3.2365 7.5161 0.0000
-3.2365 7.5161 0.0000
0.0000 1.3390 5.6800
! Energy relative to the elements = -1.71 eV/atom
! Calculated volume = 276.3 Å³ per cell

Entry 2:
! KZnO3 PBE relaxed; values from VASP
&SYSTEM
  ibrav = 0, nat = 5, ntyp = 3
/
ATOMIC_SPECIES
O 16.00 O.upf
Zn 65.41 Zn.upf
K 39.10 K.upf
ATOMIC_POSITIONS crystal
O 0.5000 0.0000 0.5000
Zn 0.5000 0.5000 0.5000
O 0.5000 0.5000 0.0000
O 0.0000 0.5000 0.5000
K 0.0000 0.0000 0.0000
CELL_PARAMETERS angstrom
-0.1604 2.9948 -2.7787
2.2083 -2.2761 -2.5805
-3.4371 -1.6021 -1.5283
! Energy relative to the elements = -0.94 eV/atom
! Calculated volume = 68.3 Å³ per cell

Entry 3:
! K4ZnO3 PBE relaxed; values from VASP
&SYSTEM
  ibrav = 0, nat = 32, ntyp = 3
/
ATOMIC_SPECIES
K 39.10 K.upf
O 16.00 O.upf
Zn 65.41 Zn.upf
ATOMIC_POSITIONS crystal
K 0.6216 0.0938 0.6687
O 0.1401 0.3611 0.0973
Zn 0.1638 0.2331 0.9389
K 0.5026 0.5301 0.1999
O 0.9254 0.1970 0.4642
Zn 0.7120 0.2780 0.4409
K 0.3784 0.9062 0.3313
K 0.1553 0.1218 0.6222
O 0.4397 0.6787 0.4184
K 0.3643 0.0884 0.1171
O 0.3640 0.6906 0.7150
K 0.8447 0.8782 0.3778
K 0.0165 0.5524 0.2962
O 0.0746 0.8030 0.5358
K 0.8850 0.1343 0.2038
K 0.6887 0.6445 0.5804
Zn 0.8362 0.7669 0.0611
K 0.2216 0.6565 0.0177
K 0.3113 0.3555 0.4196
K 0.4974 0.4699 0.8001
O 0.3926 0.1628 0.8948
K 0.6357 0.9116 0.8829
K 0.7784 0.3435 0.9823
O 0.5603 0.3213 0.5816
Zn 0.2880 0.7220 0.5591
O 0.8599 0.6389 0.9027
K 0.9835 0.4476 0.7038
O 0.0577 0.8289 0.1838
K 0.1150 0.8657 0.7962
O 0.9423 0.1711 0.8162
O 0.6360 0.3094 0.2850
O 0.6074 0.8372 0.1052
CELL_PARAMETERS angstrom
-7.0386 0.0000 0.0000
3.0253 8.4744 0.0000
-0.1295 -2.5223 -10.8995
! Energy relative to the elements = -1.50 eV/atom
! Calculated volume = 650.1 Å³ per cell

Entry 4:
! K4Zr5O12 PBE relaxed; values from VASP
&SYSTEM
  ibrav = 0, nat = 21, ntyp = 3
/
ATOMIC_SPECIES
O 16.00 O.upf
K 39.10 K.upf
Zr 91.22 Zr.upf
ATOMIC_POSITIONS crystal
O 0.5096 0.0192 0.1224
O 0.5096 0.4904 0.1224
O 0.3299 0.1650 0.3786
K 0.0000 0.0000 0.8211
O 0.0192 0.5096 0.8776
O 0.4904 0.5096 0.8776
K 0.3333 0.6667 0.3868
O 0.9808 0.4904 0.1224
K 0.6667 0.3333 0.6132
Zr 0.6667 0.3333 0.9759
O 0.4904 0.9808 0.8776
O 0.1650 0.3299 0.6214
O 0.8350 0.6701 0.3786
O 0.1650 0.8350 0.6214
O 0.8350 0.1650 0.3786
K 0.0000 0.0000 0.1789
Zr 0.0000 0.0000 0.5000
Zr 0.3333 0.6667 0.0241
Zr 0.3333 0.6667 0.7166
Zr 0.6667 0.3333 0.2834
O 0.6701 0.8350 0.6214
CELL_PARAMETERS angstrom
2.9520 -5.1130 0.0000
2.9520 5.1130 0.0000
0.0000 0.0000 10.5967
! Energy relative to the elements = -3.27 eV/atom
! Calculated volume = 319.9 Å³ per cell

Entry 5:
! K2ZrO3 PBE relaxed; values from VASP
&SYSTEM
  ibrav = 0, nat = 24, ntyp = 3
/
ATOMIC_SPECIES
K 39.10 K.upf
O 16.00 O.upf
Zr 91.22 Zr.upf
ATOMIC_POSITIONS crystal
K 0.7354 0.8853 0.5857
O 0.1584 0.3906 0.2500
K 0.7646 0.3853 0.0857
K 0.7354 0.8853 0.9143
Zr 0.2796 0.1591 0.7500
O 0.9831 0.7704 0.1216
Zr 0.7204 0.8409 0.2500
O 0.4831 0.7296 0.3784
O 0.4831 0.7296 0.1216
O 0.0169 0.2296 0.8784
O 0.9831 0.7704 0.3784
Zr 0.2204 0.6591 0.2500
O 0.5169 0.2704 0.6216
K 0.2354 0.6147 0.5857
Zr 0.7796 0.3409 0.7500
K 0.2354 0.6147 0.9143
K 0.7646 0.3853 0.4143
K 0.2646 0.1147 0.4143
O 0.5169 0.2704 0.8784
O 0.6584 0.1094 0.2500
O 0.0169 0.2296 0.6216
O 0.3416 0.8906 0.7500
O 0.8416 0.6094 0.7500
K 0.2646 0.1147 0.0857
CELL_PARAMETERS angstrom
5.9510 0.0000 0.0000
0.0000 7.0747 0.0000
0.0000 0.0000 10.6094
! Energy relative to the elements = -2.79 eV/atom
! Calculated volume = 446.7 Å³ per cell

Entry 6:
! K4ZrO4 PBE relaxed; values from VASP
&SYSTEM
  ibrav = 0, nat = 18, ntyp = 3
/
ATOMIC_SPECIES
K 39.10 K.upf
Zr 91.22 Zr.upf
O 16.00 O.upf
ATOMIC_POSITIONS crystal
K 0.2214 0.9603 0.6184
Zr 0.2767 0.1543 0.2466
K 0.7786 0.0397 0.3816
O 0.8712 0.8409 0.9138
K 0.2424 0.7632 0.0266
O 0.9646 0.7059 0.6211
Zr 0.7233 0.8457 0.7534
K 0.7419 0.5874 0.1666
O 0.4650 0.3441 0.1902
K 0.2581 0.4126 0.8334
K 0.7262 0.4879 0.5590
O 0.1288 0.1591 0.0862
O 0.5350 0.6559 0.8098
K 0.2738 0.5121 0.4410
O 0.5384 0.1580 0.6471
O 0.0354 0.2941 0.3789
O 0.4616 0.8420 0.3529
K 0.7576 0.2368 0.9734
CELL_PARAMETERS angstrom
-3.9844 -4.3379 -3.0839
2.3940 -6.2349 0.0296
-3.7832 -4.7892 7.8316
! Energy relative to the elements = -2.36 eV/atom
! Calculated volume = 383.9 Å³ per cell

Entry 7:
! K2Zr2O5 PBE relaxed; values from VASP
&SYSTEM
  ibrav = 0, nat = 36, ntyp = 3
/
ATOMIC_SPECIES
K 39.10 K.upf
O 16.00 O.upf
Zr 91.22 Zr.upf
ATOMIC_POSITIONS crystal
K 0.5636 0.5783 0.1661
O 0.5083 0.7500 0.7500
Zr 0.5316 0.3408 0.4234
K 0.4364 0.0783 0.6661
O 0.7500 0.7550 0.5000
O 0.2500 0.6773 0.0000
O 0.8735 0.0504 0.1070
O 0.2500 0.2550 0.0000
O 0.0083 0.2500 0.7500
O 0.9917 0.7500 0.2500
O 0.4917 0.2500 0.2500
O 0.3735 0.9496 0.1070
Zr 0.9684 0.1592 0.9234
K 0.5636 0.9217 0.3339
Zr 0.0316 0.6592 0.4234
K 0.9364 0.9217 0.6661
K 0.0636 0.0783 0.3339
O 0.7500 0.7450 0.0000
O 0.8735 0.4496 0.3930
K 0.0636 0.4217 0.1661
Zr 0.0316 0.8408 0.0766
O 0.6265 0.0504 0.8930
O 0.1265 0.9496 0.8930
Zr 0.4684 0.6592 0.5766
O 0.1265 0.5504 0.6070
O 0.7500 0.3227 0.0000
Zr 0.4684 0.8408 0.9234
O 0.6265 0.4496 0.6070
K 0.9364 0.5783 0.8339
K 0.4364 0.4217 0.8339
Zr 0.5316 0.1592 0.0766
O 0.2500 0.2450 0.5000
Zr 0.9684 0.3408 0.5766
O 0.7500 0.1773 0.5000
O 0.2500 0.8227 0.5000
O 0.3735 0.5504 0.3930
CELL_PARAMETERS angstrom
5.9326 0.0000 0.0000
0.0000 8.8858 0.0000
0.0000 0.0000 10.9101
! Energy relative to the elements = -3.15 eV/atom
! Calculated volume = 575.1 Å³ per cell

Entry 8:
! K2P3 PBE relaxed; values from VASP
&SYSTEM
  ibrav = 0, nat = 10, ntyp = 2
/
ATOMIC_SPECIES
P 30.97 P.upf
K 39.10 K.upf
ATOMIC_POSITIONS crystal
P 0.7091 0.1405 0.2909
P 0.2909 0.8595 0.7091
P 0.8488 0.8488 0.1512
K 0.2500 0.2500 0.2500
K 0.2715 0.7285 0.2715
P 0.1512 0.1512 0.8488
K 0.7285 0.2715 0.7285
P 0.1405 0.7091 0.8595
K 0.7500 0.7500 0.7500
P 0.8595 0.2909 0.1405
CELL_PARAMETERS angstrom
0.0000 4.7292 7.2149
4.3490 0.0000 7.2149
4.3490 4.7292 0.0000
! Energy relative to the elements = -0.44 eV/atom
! Calculated volume = 296.8 Å³ per cell
! Relative energy among the computed polymorphs = 0.00 eV per formula unit

Entry 9:
! K2P3 PBE relaxed; values from VASP
&SYSTEM
  ibrav = 0, nat = 20, ntyp = 2
/
ATOMIC_SPECIES
K 39.10 K.upf
P 30.97 P.upf
ATOMIC_POSITIONS crystal
K 0.6294 0.6238 0.3766
P 0.4061 0.0971 0.9551
K 0.1076 0.1198 0.3920
P 0.1096 0.3938 0.0983
P 0.5403 0.9553 0.1072
K 0.1304 0.1393 0.8656
P 0.1443 0.8507 0.1466
P 0.8493 0.1520 0.8578
K 0.6203 0.6313 0.8748
P 0.7051 0.2946 0.1524
K 0.8739 0.8813 0.6234
K 0.8574 0.8651 0.1393
P 0.1443 0.8484 0.7050
P 0.3988 0.1063 0.3919
P 0.8398 0.1521 0.3016
P 0.3009 0.7041 0.8507
P 0.1058 0.3985 0.5385
K 0.3806 0.3885 0.1168
P 0.9450 0.5468 0.4058
K 0.3758 0.3736 0.6190
CELL_PARAMETERS angstrom
-3.0013 -10.8851 -4.2381
-5.1053 -8.2414 3.6410
-5.9564 -1.1288 -6.0616
! Energy relative to the elements = -0.43 eV/atom
! Calculated volume = 594.3 Å³ per cell
! Relative energy among the computed polymorphs = 0.04 eV per formula unit

Entry 10:
! K2P3 PBE relaxed; values from VASP
&SYSTEM
  ibrav = 0, nat = 20, ntyp = 2
/
ATOMIC_SPECIES
K 39.10 K.upf
P 30.97 P.upf
ATOMIC_POSITIONS crystal
K 0.6367 0.6367 0.3633
P 0.8947 0.6053 0.8947
P 0.6005 0.9039 0.0447
K 0.6133 0.6133 0.8867
P 0.7992 0.2053 0.3461
P 0.9039 0.6005 0.4508
P 0.2053 0.7992 0.6495
K 0.3633 0.3633 0.6367
K 0.1254 0.1254 0.8746
K 0.8746 0.8746 0.1254
P 0.6053 0.8947 0.6053
P 0.6495 0.3461 0.2053
P 0.4508 0.0447 0.9039
K 0.8867 0.8867 0.6133
P 0.3461 0.6495 0.7992
K 0.3754 0.3754 0.1246
P 0.3553 0.6447 0.3553
K 0.1246 0.1246 0.3754
P 0.0447 0.4508 0.6005
P 0.6447 0.3553 0.6447
CELL_PARAMETERS angstrom
7.1005 -2.6883 9.3708
6.2369 5.2895 6.3533
-3.1050 -2.2228 7.6756
! Energy relative to the elements = -0.44 eV/atom
! Calculated volume = 594.3 Å³ per cell
! Relative energy among the computed polymorphs = 0.00 eV per formula unit

Entry 11:
! K3P PBE relaxed; values from VASP
&SYSTEM
  ibrav = 0, nat = 8, ntyp = 2
/
ATOMIC_SPECIES
K 39.10 K.upf
P 30.97 P.upf
ATOMIC_POSITIONS crystal
K 0.6667 0.3333 0.4218
K 0.6667 0.3333 0.0782
K 0.0000 0.0000 0.2500
K 0.3333 0.6667 0.9218
K 0.0000 0.0000 0.7500
P 0.3333 0.6667 0.2500
K 0.3333 0.6667 0.5782
P 0.6667 0.3333 0.7500
CELL_PARAMETERS angstrom
2.8698 -4.9706 0.0000
2.8698 4.9706 0.0000
0.0000 0.0000 10.1472
! Energy relative to the elements = -0.21 eV/atom
! Calculated volume = 289.5 Å³ per cell

Entry 12:
! KP PBE relaxed; values from VASP
&SYSTEM
  ibrav = 0, nat = 16, ntyp = 2
/
ATOMIC_SPECIES
K 39.10 K.upf
P 30.97 P.upf
ATOMIC_POSITIONS crystal
K 0.8968 0.1165 0.0831
K 0.6649 0.6452 0.2161
P 0.8345 0.1889 0.3994
K 0.3968 0.3835 0.9169
K 0.6032 0.8835 0.5831
P 0.6655 0.8111 0.8994
P 0.4060 0.9178 0.0294
P 0.1655 0.6889 0.1006
K 0.8351 0.3548 0.7161
K 0.1649 0.8548 0.7839
K 0.3351 0.1452 0.2839
P 0.9060 0.5822 0.9706
P 0.5940 0.4178 0.4706
K 0.1032 0.6165 0.4169
P 0.0940 0.0822 0.5294
P 0.3345 0.3111 0.6006
CELL_PARAMETERS angstrom
-5.5873 2.3914 0.5704
0.0817 -1.3538 6.4764
4.6020 10.2549 2.0857
! Largest piezoelectric modulus = 0.27 C/m²
! Energy relative to the elements = -0.41 eV/atom
! Calculated volume = 461.8 Å³ per cell
! Relative energy among the computed polymorphs = 0.00 eV per formula unit